Record 1
A relaxed structure of Al8Mo3, computed with GGA-PBE.

Cell and atoms, written as POSCAR:
```
Al8Mo3
1.0
4.6162 -1.8271 0.0000
4.6162 1.8271 0.0000
-1.8803 0.0000 9.9088
Al Mo
8 3
Cartesian
-0.2355 0.0000 3.1793
-0.5850 0.0000 9.4955
0.9924 0.0000 5.8480
2.4764 0.0000 2.2009
4.8758 0.0000 7.7078
6.3598 0.0000 4.0608
7.9371 0.0000 0.4132
7.5877 0.0000 6.7295
2.1625 0.0000 8.3287
3.6761 0.0000 4.9544
5.1897 0.0000 1.5801
```

Computed properties:
Energy relative to the elements (kcal/mol of atoms): -7.7

Record 2
A relaxed structure of K2CuH12S2O14, computed with GGA-PBE.

Cell and atoms, written as POSCAR:
```
K2CuH12S2O14
1.0
6.1843 0.0000 0.0000
0.0000 12.3245 0.0000
-2.2406 0.0000 8.8585
K Cu H S O
4 2 24 4 28
Cartesian
0.1118 1.8524 3.3271
-1.0085 4.3099 7.7563
4.9522 8.0146 1.1022
3.8319 10.4721 5.5314
3.0921 0.0000 0.0000
1.9718 6.1623 4.4292
-0.2739 6.9114 5.3273
0.8464 11.5754 0.8981
-0.6612 1.1011 7.0564
0.4591 5.0612 2.6272
0.0996 7.9094 4.1260
-1.0207 10.5774 8.5552
0.8638 1.5270 6.7418
1.9841 4.6352 2.3126
2.1599 7.4770 1.8638
1.0396 11.0098 6.2931
2.6977 2.4082 1.4489
1.5774 3.7540 5.8782
2.3663 8.5705 2.9803
1.2460 9.9163 7.4096
2.9041 1.3148 2.5654
1.7838 4.8475 6.9947
1.9595 7.6893 6.5459
3.0798 10.7975 2.1167
4.9644 1.7472 0.3033
3.8441 4.4151 4.7325
3.4845 7.2633 6.2313
4.6048 11.2234 1.8021
3.0972 0.7491 7.9604
4.2175 5.4131 3.5312
-0.6287 7.8656 7.9480
0.4916 10.6211 3.5188
3.4521 1.7034 5.3397
4.5724 4.4589 0.9104
-1.4631 9.1076 7.9396
-0.3428 9.3792 3.5104
-1.0678 6.9977 6.8002
0.0525 11.4891 2.3709
0.1800 6.9582 4.4355
1.3003 11.5286 0.0063
1.3986 7.1162 0.3521
0.2783 11.3706 4.7814
0.2024 1.3848 7.4729
1.3227 4.7774 3.0437
0.8190 8.2212 7.7867
1.9393 10.2655 3.3574
2.3988 1.5080 1.7316
1.2785 4.6543 6.1608
2.6651 7.6702 2.6976
1.5448 10.8165 7.1269
2.0044 2.0590 5.5011
3.1247 4.1033 1.0718
2.6210 7.5471 5.8148
3.7413 10.9397 1.3856
3.6653 0.9539 4.0771
2.5450 5.2084 8.5064
2.6433 0.7959 8.8522
3.7636 5.3663 4.4230
3.8912 0.8354 6.4875
5.0115 5.3268 2.0583
4.2865 2.9453 5.3481
5.4068 3.2169 0.9189
```

Computed properties:
Energy relative to the elements (kcal/mol of atoms): -36.0
Total magnetic moment (μB/cell): 2.0

Record 3
A relaxed structure of Cs3LaBr6, computed with GGA-PBE.

Cell and atoms, written as POSCAR:
```
Cs3LaBr6
1.0
14.5418 -4.4434 0.0000
14.5418 4.4434 0.0000
-2.2364 0.0000 14.0380
Cs La Br
12 4 24
Cartesian
8.1280 2.8249 11.9939
9.4045 1.6047 2.8028
11.8316 2.5083 8.0530
13.8974 2.5083 13.0039
17.6010 2.8249 9.0630
18.5610 1.6047 4.2162
8.2863 -1.6047 9.8218
9.2462 -2.8249 4.9749
12.9499 -2.5083 1.0340
15.0156 -2.5083 5.9850
17.4428 -1.6047 11.2352
18.7193 -2.8249 2.0440
6.1527 2.2217 7.0190
13.9827 1.7651 3.5095
7.2709 -2.2217 0.0000
12.8645 -1.7651 10.5285
12.0660 3.8132 4.4979
4.0739 0.4215 5.8915
15.8995 3.8132 2.5211
5.7155 0.9978 9.7032
12.7448 2.0172 0.8692
2.9557 -0.4215 12.9105
8.4019 0.3828 6.5435
15.2207 2.0172 6.1498
6.8337 -0.9978 2.6842
7.2837 -0.3828 13.5625
11.0028 0.4451 11.1674
12.1210 -0.4451 4.1484
14.7263 0.4451 9.8895
15.8445 -0.4451 2.8706
19.5636 0.3828 0.4755
20.0136 0.9978 11.3538
11.6266 -2.0172 7.8882
18.4454 -0.3828 7.4945
23.8916 0.4215 1.1275
14.1025 -2.0172 13.1688
21.1318 -0.9978 4.3348
10.9478 -3.8132 11.5168
22.7734 -0.4215 8.1465
14.7813 -3.8132 9.5401
```

Computed properties:
Energy relative to the elements (kcal/mol of atoms): -51.9

Record 4
A relaxed structure of NiOsN2, computed with GGA-PBE.

Cell and atoms, written as POSCAR:
```
NiOsN2
1.0
2.8631 0.0000 0.0000
-1.4316 2.4795 0.0000
0.0000 0.0000 12.1630
Ni Os N
2 2 4
Cartesian
0.0000 0.0000 0.0000
0.0000 0.0000 6.0815
0.0000 1.6530 3.0407
1.4316 0.8265 9.1222
0.0000 0.0000 1.8237
0.0000 0.0000 4.2578
0.0000 0.0000 7.9052
0.0000 0.0000 10.3393
```

Computed properties:
Energy relative to the elements (kcal/mol of atoms): 6.7
Total magnetic moment (μB/cell): 0.0

Record 5
A relaxed structure of Nb6CdO16, computed with GGA-PBE.

Cell and atoms, written as POSCAR:
```
Nb6CdO16
1.0
7.9100 0.0000 0.0000
0.0000 9.1843 0.0000
0.0000 0.0000 17.1418
Nb Cd O
24 4 64
Cartesian
1.9307 0.9466 3.3046
1.9307 8.2378 11.8755
1.9487 0.9283 7.2942
1.9487 8.2561 15.8651
1.9763 1.7353 13.8972
1.9763 7.4490 5.3263
1.9961 2.8579 10.6389
1.9961 6.3265 2.0680
1.9994 2.8823 0.0000
1.9973 4.1141 5.2831
1.9973 5.0702 13.8540
1.9994 6.3020 8.5709
5.9107 2.8823 0.0000
5.9127 4.1141 5.2831
5.9127 5.0702 13.8540
5.9107 6.3020 8.5709
5.9139 2.8579 10.6389
5.9139 6.3265 2.0680
5.9337 1.7353 13.8972
5.9337 7.4490 5.3263
5.9614 0.9283 7.2942
5.9614 8.2561 15.8651
5.9794 0.9466 3.3046
5.9794 8.2378 11.8755
0.0000 3.7126 8.0500
0.0000 5.4717 16.6209
3.9550 0.0293 9.6105
3.9550 9.1551 1.0396
0.0000 0.8786 3.2154
0.0000 0.9528 7.4675
0.0000 1.7320 13.8945
0.0000 2.9259 10.4232
0.0000 3.0894 17.0940
0.0000 4.1696 5.4486
0.0000 5.0148 14.0195
0.0000 6.0949 8.5231
0.0000 6.2585 1.8522
0.0000 7.4523 5.3236
0.0000 8.2315 16.0384
0.0000 8.3058 11.7863
1.8720 2.8488 6.8287
1.8720 6.3355 15.3996
1.9396 1.0990 15.9176
1.9355 3.4648 12.5894
1.9355 5.7195 4.0185
1.9396 8.0854 7.3467
1.9569 1.1162 11.8812
1.9569 8.0681 3.3103
1.9652 4.5176 9.4836
1.9652 4.6668 0.9127
1.9797 2.7766 3.9155
1.9797 6.4078 12.4864
2.0054 0.4199 5.3236
2.0116 1.4862 1.3858
2.0074 3.4321 15.1815
2.0074 5.7523 6.6106
2.0116 7.6982 9.9567
2.0054 8.7644 13.8945
2.0777 1.4618 9.2491
2.0777 7.7226 0.6782
3.9550 0.7800 3.1257
3.9550 0.8110 7.4550
3.9550 1.7533 13.8871
3.9550 2.8901 0.0227
3.9550 2.9278 10.6627
3.9550 4.1025 5.3563
3.9550 5.0818 13.9272
3.9550 6.2566 2.0918
3.9550 6.2943 8.5936
3.9550 7.4311 5.3162
3.9550 8.3734 16.0259
3.9550 8.4043 11.6966
5.8323 1.4618 9.2491
5.8323 7.7226 0.6782
5.9047 0.4199 5.3236
5.8984 1.4862 1.3858
5.9026 3.4321 15.1815
5.9026 5.7523 6.6106
5.8984 7.6982 9.9567
5.9047 8.7644 13.8945
5.9304 2.7766 3.9155
5.9304 6.4078 12.4864
5.9448 4.5176 9.4836
5.9448 4.6668 0.9127
5.9531 1.1162 11.8812
5.9531 8.0681 3.3103
5.9704 1.0990 15.9176
5.9746 3.4648 12.5894
5.9746 5.7195 4.0185
5.9704 8.0854 7.3467
6.0380 2.8488 6.8287
6.0380 6.3355 15.3996
```

Computed properties:
Energy relative to the elements (kcal/mol of atoms): -66.0
Total magnetic moment (μB/cell): 0.2

Record 6
A relaxed structure of Zr3Cd, computed with GGA-PBE.

Cell and atoms, written as POSCAR:
```
Zr3Cd
1.0
4.4687 0.0000 0.0000
0.0000 4.4687 0.0000
0.0000 0.0000 4.4687
Zr Cd
3 1
Cartesian
0.0000 0.0000 2.2343
0.0000 2.2343 0.0000
2.2343 0.0000 0.0000
2.2343 2.2343 2.2343
```

Computed properties:
Energy relative to the elements (kcal/mol of atoms): -1.8

Record 7
A relaxed structure of ErCu2, computed with GGA-PBE.

Cell and atoms, written as POSCAR:
```
ErCu2
1.0
-2.1461 3.3706 3.6167
2.1461 -3.3706 3.6167
2.1461 3.3706 -3.6167
Er Cu
2 4
Cartesian
0.0000 1.6853 0.3034
2.1461 1.6853 3.3133
2.1461 -0.3388 1.1954
2.1461 3.0318 -1.1954
0.0000 0.3388 4.8120
0.0000 3.7094 2.4213
```

Computed properties:
Energy relative to the elements (kcal/mol of atoms): -6.5

Record 8
A relaxed structure of SiBr4, computed with GGA-PBE.

Cell and atoms, written as POSCAR:
```
SiBr4
1.0
12.1962 0.0000 0.0000
0.0000 12.1962 0.0000
0.0000 0.0000 12.1962
Si Br
8 32
Cartesian
1.6083 1.6083 1.6083
1.6083 4.4898 7.7064
4.4898 7.7064 1.6083
4.4898 10.5879 7.7064
7.7064 1.6083 4.4898
7.7064 4.4898 10.5879
10.5879 7.7064 4.4898
10.5879 10.5879 10.5879
0.2520 2.8893 0.4118
0.2520 3.2087 6.5098
0.4118 0.2520 2.8893
0.4118 5.8461 8.9874
2.8893 0.4118 0.2520
2.8861 2.8861 2.8861
2.8861 3.2120 8.9842
2.8893 5.6863 6.3501
3.2087 6.5098 0.2520
3.2120 8.9842 2.8861
3.2120 9.3101 8.9842
3.2087 11.7844 6.3501
5.6863 6.3501 2.8893
5.6863 11.9441 8.9874
5.8461 8.9874 0.4118
5.8461 9.3068 6.5098
6.3501 2.8893 5.6863
6.3501 3.2087 11.7844
6.5098 0.2520 3.2087
6.5098 5.8461 9.3068
8.9874 0.4118 5.8461
8.9842 2.8861 3.2120
8.9842 3.2120 9.3101
8.9874 5.6863 11.9441
9.3068 6.5098 5.8461
9.3101 8.9842 3.2120
9.3101 9.3101 9.3101
9.3068 11.7844 11.9441
11.7844 6.3501 3.2087
11.7844 11.9441 9.3068
11.9441 8.9874 5.6863
11.9441 9.3068 11.7844
```

Computed properties:
Energy relative to the elements (kcal/mol of atoms): -29.1